[1]
# MgMn6O8F4, relaxed, DFT PBE+U
data_MgMn6O8F4
_chemical_formula_sum 'Mg1 Mn6 O8 F4'
_cell_length_a 5.7845
_cell_length_b 6.0608
_cell_length_c 7.7101
_cell_angle_alpha 106.87
_cell_angle_beta 97.04
_cell_angle_gamma 114.14
_space_group_name_H-M_alt 'P 1'
_space_group_IT_number 1
loop_
_space_group_symop_operation_xyz
'x,y,z'
loop_
_atom_site_label
_atom_site_type_symbol
_atom_site_fract_x
_atom_site_fract_y
_atom_site_fract_z
_atom_site_occupancy
Mg1 Mg 0.0000 0.0000 0.0000 1
Mn1 Mn 0.0175 0.0203 0.5083 1
Mn2 Mn 0.0302 0.4886 0.9752 1
Mn3 Mn 0.3447 0.5333 0.3425 1
Mn4 Mn 0.3692 0.0237 0.8232 1
Mn5 Mn 0.6335 0.0551 0.1936 1
Mn6 Mn 0.6847 0.4944 0.6451 1
O1 O 0.0460 0.7081 0.8274 1
O2 O 0.1213 0.1589 0.7897 1
O3 O 0.3208 0.3123 0.4917 1
O4 O 0.3596 0.7239 0.1730 1
O5 O 0.4068 0.1673 0.0840 1
O6 O 0.6671 0.3186 0.8227 1
O7 O 0.7170 0.6995 0.4863 1
O8 O 0.9769 0.3149 0.1607 1
F1 F 0.2759 0.8392 0.5502 1
F2 F 0.6087 0.8575 0.8771 1
F3 F 0.7896 0.2125 0.4755 1
F4 F 0.8968 0.8781 0.2103 1
# - Energy relative to the elements: -2.29 eV/atom
# - Total energy after the MP2020 corrections: -7.757 eV per atom
# - Crystal system: triclinic
# - M_tot: 24.00 μB per cell
# - Total energy: -130.0 eV per cell

***

[2]
# MgV3O4F4, relaxed, DFT PBE+U
data_MgV3O4F4
_chemical_formula_sum 'Mg1 V3 O4 F4'
_cell_length_a 4.8711
_cell_length_b 3.1193
_cell_length_c 9.7508
_cell_angle_alpha 90.00
_cell_angle_beta 90.26
_cell_angle_gamma 90.00
_space_group_name_H-M_alt 'P 1 m 1'
_space_group_IT_number 6
loop_
_space_group_symop_operation_xyz
'x,y,z'
'x,-y,z'
loop_
_atom_site_label
_atom_site_type_symbol
_atom_site_fract_x
_atom_site_fract_y
_atom_site_fract_z
_atom_site_occupancy
Mg1 Mg 0.0000 0.0000 0.0000 1
V1 V 0.0475 0.5000 0.7064 1
V2 V 0.4959 0.5000 0.2490 1
V3 V 0.5522 0.0000 0.5041 1
O1 O 0.3271 0.0000 0.3414 1
O2 O 0.3600 0.5000 0.5904 1
O3 O 0.7271 0.5000 0.4061 1
O4 O 0.8436 0.0000 0.6338 1
F1 F 0.2010 0.5000 0.0894 1
F2 F 0.2280 0.0000 0.8261 1
F3 F 0.6952 0.0000 0.1364 1
F4 F 0.8357 0.5000 0.8962 1
# - Energy relative to the elements: -2.93 eV/atom
# - Total energy after the MP2020 corrections: -7.622 eV per atom
# - Crystal system: monoclinic
# - M_tot: 5.00 μB per cell
# - Total energy: -81.8 eV per cell

***

[3]
# Li9Mn2Co5O16, relaxed, DFT PBE+U
data_Li9Mn2Co5O16
_chemical_formula_sum 'Li9 Mn2 Co5 O16'
_cell_length_a 2.9851
_cell_length_b 5.1111
_cell_length_c 19.5964
_cell_angle_alpha 91.66
_cell_angle_beta 93.16
_cell_angle_gamma 105.05
_space_group_name_H-M_alt 'P 1'
_space_group_IT_number 1
loop_
_space_group_symop_operation_xyz
'x,y,z'
loop_
_atom_site_label
_atom_site_type_symbol
_atom_site_fract_x
_atom_site_fract_y
_atom_site_fract_z
_atom_site_occupancy
Li1 Li 0.0000 0.0000 0.0000 1
Li2 Li 0.0512 0.2918 0.8148 1
Li3 Li 0.1694 0.9186 0.4382 1
Li4 Li 0.2661 0.5358 0.0554 1
Li5 Li 0.4194 0.1726 0.6865 1
Li6 Li 0.5416 0.7962 0.3136 1
Li7 Li 0.6650 0.4100 0.9386 1
Li8 Li 0.7948 0.0452 0.5628 1
Li9 Li 0.9342 0.6781 0.1898 1
Mn1 Mn 0.5995 0.1085 0.1221 1
Mn2 Mn 0.7280 0.7341 0.7516 1
Co1 Co 0.1035 0.6084 0.6248 1
Co2 Co 0.2252 0.2250 0.2507 1
Co3 Co 0.3727 0.8605 0.8811 1
Co4 Co 0.4823 0.4831 0.4996 1
Co5 Co 0.8589 0.3545 0.3744 1
O1 O 0.0381 0.4617 0.7148 1
O2 O 0.0401 0.1115 0.9037 1
O3 O 0.1201 0.7474 0.5337 1
O4 O 0.2221 0.0941 0.3407 1
O5 O 0.2277 0.3505 0.1582 1
O6 O 0.3230 0.7067 0.9595 1
O7 O 0.4121 0.9950 0.7880 1
O8 O 0.4614 0.3422 0.5898 1
O9 O 0.5010 0.6222 0.4083 1
O10 O 0.5500 0.9716 0.2179 1
O11 O 0.6442 0.2674 0.0395 1
O12 O 0.6829 0.5954 0.8421 1
O13 O 0.7393 0.8718 0.6589 1
O14 O 0.8425 0.2170 0.4650 1
O15 O 0.9145 0.4906 0.2823 1
O16 O 0.9782 0.8672 0.0987 1
# - Energy relative to the elements: -1.80 eV/atom
# - Total energy after the MP2020 corrections: -6.494 eV per atom
# - Crystal system: triclinic
# - M_tot: 13.97 μB per cell
# - Total energy: -185.3 eV per cell

***

[4]
# V3O5F, relaxed, DFT PBE+U
data_V3O5F
_chemical_formula_sum 'V3 O5 F1'
_cell_length_a 4.9987
_cell_length_b 5.1301
_cell_length_c 5.4471
_cell_angle_alpha 92.96
_cell_angle_beta 114.57
_cell_angle_gamma 118.72
_space_group_name_H-M_alt 'P 1'
_space_group_IT_number 1
loop_
_space_group_symop_operation_xyz
'x,y,z'
loop_
_atom_site_label
_atom_site_type_symbol
_atom_site_fract_x
_atom_site_fract_y
_atom_site_fract_z
_atom_site_occupancy
V1 V 0.0000 0.0000 0.0000 1
V2 V 0.0697 0.5563 0.5322 1
V3 V 0.6668 0.3427 0.9212 1
O1 O 0.0761 0.7378 0.2141 1
O2 O 0.1957 0.9556 0.7753 1
O3 O 0.5352 0.6208 0.7599 1
O4 O 0.8545 0.2722 0.7357 1
O5 O 0.8913 0.1775 0.2112 1
F1 F 0.5216 0.3926 0.2359 1
# - Energy relative to the elements: -2.53 eV/atom
# - Total energy after the MP2020 corrections: -8.524 eV per atom
# - Crystal system: triclinic
# - M_tot: 4.00 μB per cell
# - Total energy: -67.7 eV per cell

***

[5]
# Li2NiGe3O8, relaxed, DFT PBE+U
data_Li2NiGe3O8
_chemical_formula_sum 'Li8 Ni4 Ge12 O32'
_cell_length_a 8.3053
_cell_length_b 8.3053
_cell_length_c 8.3053
_cell_angle_alpha 90.00
_cell_angle_beta 90.00
_cell_angle_gamma 90.00
_space_group_name_H-M_alt 'P 43 3 2'
_space_group_IT_number 212
_space_group_name_Hall 'P 4acd 2ab 3'
loop_
_atom_site_label
_atom_site_type_symbol
_atom_site_fract_x
_atom_site_fract_y
_atom_site_fract_z
_atom_site_occupancy
Li1 Li 0.0032 0.0032 0.0032 1
Ni1 Ni 0.1250 0.8750 0.3750 1
Ge1 Ge 0.1226 0.1274 0.6250 1
O1 O 0.1005 0.1262 0.3933 1
O2 O 0.1159 0.6159 0.8841 1
# - Energy relative to the elements: -2.11 eV/atom
# - Total energy after the MP2020 corrections: -6.618 eV per atom
# - Crystal system: cubic
# - Total energy: -338.5 eV per cell

***

[6]
# MgV4O7F5, relaxed, DFT PBE+U
data_MgV4O7F5
_chemical_formula_sum 'Mg1 V4 O7 F5'
_cell_length_a 5.1825
_cell_length_b 5.3610
_cell_length_c 9.0328
_cell_angle_alpha 72.82
_cell_angle_beta 89.55
_cell_angle_gamma 62.38
_space_group_name_H-M_alt 'P 1'
_space_group_IT_number 1
loop_
_space_group_symop_operation_xyz
'x,y,z'
loop_
_atom_site_label
_atom_site_type_symbol
_atom_site_fract_x
_atom_site_fract_y
_atom_site_fract_z
_atom_site_occupancy
Mg1 Mg 0.0000 0.0000 0.0000 1
V1 V 0.1056 0.8731 0.3584 1
V2 V 0.3411 0.3342 0.0953 1
V3 V 0.5088 0.8837 0.8427 1
V4 V 0.8167 0.4225 0.5991 1
O1 O 0.1208 0.1433 0.1616 1
O2 O 0.1261 0.1470 0.7884 1
O3 O 0.4591 0.6674 0.0155 1
O4 O 0.4628 0.6497 0.4360 1
O5 O 0.5595 0.1447 0.9768 1
O6 O 0.5905 0.6599 0.7313 1
O7 O 0.9680 0.6390 0.5177 1
F1 F 0.0152 0.1471 0.4764 1
F2 F 0.0890 0.6570 0.2113 1
F3 F 0.6372 0.1500 0.6905 1
F4 F 0.6393 0.1230 0.2767 1
F5 F 0.9793 0.6647 0.9336 1
# - Energy relative to the elements: -2.72 eV/atom
# - Total energy after the MP2020 corrections: -7.555 eV per atom
# - Crystal system: triclinic
# - M_tot: 3.00 μB per cell
# - Total energy: -114.5 eV per cell

***

[7]
# MgTi2Ni2O6, relaxed, DFT PBE+U
data_MgTi2Ni2O6
_chemical_formula_sum 'Mg3 Ti6 Ni6 O18'
_cell_length_a 5.1104
_cell_length_b 5.1104
_cell_length_c 15.0534
_cell_angle_alpha 90.00
_cell_angle_beta 90.00
_cell_angle_gamma 120.00
_space_group_name_H-M_alt 'R -3'
_space_group_IT_number 148
_space_group_name_Hall '-R 3'
loop_
_atom_site_label
_atom_site_type_symbol
_atom_site_fract_x
_atom_site_fract_y
_atom_site_fract_z
_atom_site_occupancy
Mg1 Mg 0.0000 0.0000 0.0000 1
Ti1 Ti 0.0000 0.0000 0.3510 1
Ni1 Ni 0.0000 0.0000 0.1689 1
O1 O 0.0063 0.3533 0.4108 1
# - Energy relative to the elements: -2.34 eV/atom
# - Total energy after the MP2020 corrections: -7.674 eV per atom
# - Crystal system: trigonal
# - M_tot: 5.99 μB per cell
# - Total energy: -225.6 eV per cell

***

[8]
# Ca8Ti3Mn5O20, relaxed, DFT PBE+U
data_Ca8Ti3Mn5O20
_chemical_formula_sum 'Ca32 Ti12 Mn20 O80'
_cell_length_a 11.1961
_cell_length_b 11.3342
_cell_length_c 15.4470
_cell_angle_alpha 89.95
_cell_angle_beta 89.20
_cell_angle_gamma 88.15
_space_group_name_H-M_alt 'P 1'
_space_group_IT_number 1
loop_
_space_group_symop_operation_xyz
'x,y,z'
loop_
_atom_site_label
_atom_site_type_symbol
_atom_site_fract_x
_atom_site_fract_y
_atom_site_fract_z
_atom_site_occupancy
Ca1 Ca 0.0000 0.0000 0.0000 1
Ca2 Ca 0.0005 0.0024 0.4974 1
Ca3 Ca 0.0040 0.5046 0.4964 1
Ca4 Ca 0.0184 0.5006 0.2411 1
Ca5 Ca 0.0182 0.5089 0.7482 1
Ca6 Ca 0.0270 0.9996 0.2465 1
Ca7 Ca 0.0345 0.0093 0.7451 1
Ca8 Ca 0.3013 0.2373 0.7684 1
Ca9 Ca 0.3013 0.7906 0.2611 1
Ca10 Ca 0.3036 0.7881 0.7627 1
Ca11 Ca 0.3049 0.2691 0.2654 1
Ca12 Ca 0.3137 0.7403 0.9959 1
Ca13 Ca 0.3175 0.2549 0.4940 1
Ca14 Ca 0.3187 0.7442 0.4945 1
Ca15 Ca 0.3261 0.2594 0.9893 1
Ca16 Ca 0.5670 0.0624 0.9945 1
Ca17 Ca 0.5671 0.5388 0.9957 1
Ca18 Ca 0.5709 0.0610 0.4980 1
Ca19 Ca 0.5710 0.5565 0.4959 1
Ca20 Ca 0.5912 0.5343 0.2538 1
Ca21 Ca 0.5912 0.5379 0.7568 1
Ca22 Ca 0.5919 0.0355 0.2532 1
Ca23 Ca 0.5915 0.0386 0.7614 1
Ca24 Ca 0.7710 0.7767 0.9916 1
Ca25 Ca 0.7778 0.2747 0.9885 1
Ca26 Ca 0.7874 0.7779 0.4982 1
Ca27 Ca 0.7925 0.2760 0.4994 1
Ca28 Ca 0.7961 0.2895 0.7507 1
Ca29 Ca 0.8062 0.7817 0.7523 1
Ca30 Ca 0.8113 0.7685 0.2370 1
Ca31 Ca 0.8155 0.2700 0.2330 1
Ca32 Ca 0.9933 0.5000 0.9953 1
Ti1 Ti 0.2808 0.4657 0.1172 1
Ti2 Ti 0.2818 0.4643 0.6201 1
Ti3 Ti 0.2832 0.9694 0.6069 1
Ti4 Ti 0.2994 0.5372 0.8435 1
Ti5 Ti 0.3003 0.5413 0.3475 1
Ti6 Ti 0.3108 0.0365 0.3588 1
Ti7 Ti 0.5406 0.8018 0.1263 1
Ti8 Ti 0.5444 0.7943 0.8745 1
Ti9 Ti 0.5513 0.3066 0.6295 1
Ti10 Ti 0.5519 0.8062 0.6283 1
Ti11 Ti 0.5578 0.7963 0.3705 1
Ti12 Ti 0.5648 0.2921 0.3702 1
Mn1 Mn 0.0384 0.7683 0.1164 1
Mn2 Mn 0.0451 0.7477 0.3655 1
Mn3 Mn 0.0451 0.7559 0.8742 1
Mn4 Mn 0.0458 0.2746 0.6277 1
Mn5 Mn 0.0463 0.7740 0.6268 1
Mn6 Mn 0.0492 0.2487 0.3671 1
Mn7 Mn 0.0515 0.2484 0.8645 1
Mn8 Mn 0.0527 0.2685 0.1204 1
Mn9 Mn 0.2710 0.9689 0.1090 1
Mn10 Mn 0.3178 0.0277 0.9003 1
Mn11 Mn 0.5520 0.2844 0.8695 1
Mn12 Mn 0.5524 0.2959 0.1297 1
Mn13 Mn 0.7924 0.5220 0.1219 1
Mn14 Mn 0.7939 0.0227 0.1234 1
Mn15 Mn 0.7951 0.5257 0.8746 1
Mn16 Mn 0.8013 0.0295 0.6247 1
Mn17 Mn 0.8013 0.5323 0.6219 1
Mn18 Mn 0.8029 0.0187 0.3737 1
Mn19 Mn 0.8038 0.5165 0.3737 1
Mn20 Mn 0.8050 0.0247 0.8750 1
O1 O 0.0923 0.8029 0.2423 1
O2 O 0.0976 0.8133 0.7531 1
O3 O 0.1016 0.3099 0.2468 1
O4 O 0.1043 0.3171 0.7504 1
O5 O 0.1484 0.8638 0.0372 1
O6 O 0.1544 0.4054 0.0588 1
O7 O 0.1602 0.8898 0.5534 1
O8 O 0.1615 0.3947 0.5597 1
O9 O 0.1886 0.6325 0.9012 1
O10 O 0.1904 0.6380 0.4041 1
O11 O 0.1954 0.1403 0.4054 1
O12 O 0.1982 0.1664 0.8922 1
O13 O 0.2465 0.5438 0.7263 1
O14 O 0.2485 0.0331 0.7120 1
O15 O 0.2509 0.5366 0.2303 1
O16 O 0.2600 0.0191 0.2459 1
O17 O 0.3214 0.3915 0.3841 1
O18 O 0.3340 0.3882 0.8747 1
O19 O 0.3472 0.8842 0.3909 1
O20 O 0.3623 0.0680 0.0276 1
O21 O 0.3619 0.3258 0.1298 1
O22 O 0.3673 0.5514 0.0464 1
O23 O 0.3675 0.0668 0.5395 1
O24 O 0.3676 0.5579 0.5533 1
O25 O 0.3703 0.3244 0.6323 1
O26 O 0.3703 0.8090 0.1269 1
O27 O 0.3734 0.8289 0.6243 1
O28 O 0.3745 0.8598 0.8858 1
O29 O 0.4325 0.6246 0.8418 1
O30 O 0.4332 0.6314 0.3500 1
O31 O 0.4397 0.1347 0.3505 1
O32 O 0.4514 0.1427 0.8522 1
O33 O 0.5116 0.3380 0.2627 1
O34 O 0.5141 0.8391 0.2575 1
O35 O 0.5260 0.8286 0.7496 1
O36 O 0.5311 0.2683 0.4960 1
O37 O 0.5354 0.3313 0.7489 1
O38 O 0.5355 0.7612 0.4974 1
O39 O 0.5411 0.7497 0.0009 1
O40 O 0.5462 0.2675 0.9949 1
O41 O 0.6112 0.9401 0.1114 1
O42 O 0.6244 0.9421 0.6124 1
O43 O 0.6262 0.4417 0.6114 1
O44 O 0.6320 0.9237 0.8920 1
O45 O 0.6376 0.4496 0.1179 1
O46 O 0.6415 0.9329 0.3900 1
O47 O 0.6467 0.4313 0.3896 1
O48 O 0.6512 0.4254 0.8843 1
O49 O 0.6585 0.6904 0.1555 1
O50 O 0.6654 0.1854 0.6410 1
O51 O 0.6690 0.6881 0.6433 1
O52 O 0.6742 0.6863 0.8520 1
O53 O 0.6796 0.6923 0.3491 1
O54 O 0.6868 0.1668 0.1513 1
O55 O 0.6873 0.1900 0.3495 1
O56 O 0.7051 0.1696 0.8519 1
O57 O 0.7836 0.5670 0.9992 1
O58 O 0.7895 0.0649 0.0011 1
O59 O 0.7901 0.0671 0.4961 1
O60 O 0.7903 0.5695 0.4943 1
O61 O 0.7988 0.9775 0.2481 1
O62 O 0.7998 0.4979 0.7501 1
O63 O 0.8006 0.4797 0.2485 1
O64 O 0.8007 0.9872 0.7518 1
O65 O 0.8813 0.8696 0.1012 1
O66 O 0.8913 0.3684 0.6086 1
O67 O 0.8917 0.8676 0.6059 1
O68 O 0.8953 0.3609 0.0978 1
O69 O 0.9001 0.8705 0.8962 1
O70 O 0.9181 0.8636 0.4044 1
O71 O 0.9209 0.3605 0.8896 1
O72 O 0.9212 0.3644 0.4069 1
O73 O 0.9418 0.6143 0.8649 1
O74 O 0.9470 0.6043 0.3564 1
O75 O 0.9466 0.6152 0.1297 1
O76 O 0.9490 0.1058 0.3586 1
O77 O 0.9678 0.1068 0.8697 1
O78 O 0.9768 0.1143 0.6248 1
O79 O 0.9788 0.6127 0.6245 1
O80 O 0.9903 0.1052 0.1276 1
# - Energy relative to the elements: -2.94 eV/atom
# - Total energy after the MP2020 corrections: -8.063 eV per atom
# - Crystal system: triclinic
# - M_tot: 92.00 μB per cell
# - Total energy: -1072.7 eV per cell

***

[9]
# LiAlVO4, relaxed, DFT PBE+U
data_LiAlVO4
_chemical_formula_sum 'Li4 Al4 V4 O16'
_cell_length_a 10.1429
_cell_length_b 5.7542
_cell_length_c 5.9111
_cell_angle_alpha 90.00
_cell_angle_beta 125.64
_cell_angle_gamma 90.00
_space_group_name_H-M_alt 'C 1 2/m 1'
_space_group_IT_number 12
loop_
_space_group_symop_operation_xyz
'x,y,z'
'-x,-y,-z'
'-x,y,-z'
'x,-y,z'
'x+1/2,y+1/2,z'
'-x+1/2,-y+1/2,-z'
'-x+1/2,y+1/2,-z'
'x+1/2,-y+1/2,z'
loop_
_atom_site_label
_atom_site_type_symbol
_atom_site_fract_x
_atom_site_fract_y
_atom_site_fract_z
_atom_site_occupancy
Li1 Li 0.1317 0.0000 0.3779 1
Al1 Al 0.2500 0.2500 0.0000 1
V1 V 0.0000 0.5000 0.0000 1
V2 V 0.0000 0.5000 0.5000 1
O1 O 0.0139 0.2726 0.7598 1
O2 O 0.2325 0.5000 0.2036 1
O3 O 0.2402 0.5000 0.7785 1
# - Energy relative to the elements: -2.81 eV/atom
# - Total energy after the MP2020 corrections: -7.738 eV per atom
# - Crystal system: monoclinic
# - M_tot: 4.00 μB per cell
# - Total energy: -198.9 eV per cell

***

[10]
# Li4Cr3CuP4O16, relaxed, DFT PBE+U
data_Li4Cr3CuP4O16
_chemical_formula_sum 'Li4 Cr3 Cu1 P4 O16'
_cell_length_a 4.7690
_cell_length_b 6.2436
_cell_length_c 10.2205
_cell_angle_alpha 90.00
_cell_angle_beta 90.04
_cell_angle_gamma 90.00
_space_group_name_H-M_alt 'P 1 m 1'
_space_group_IT_number 6
loop_
_space_group_symop_operation_xyz
'x,y,z'
'x,-y,z'
loop_
_atom_site_label
_atom_site_type_symbol
_atom_site_fract_x
_atom_site_fract_y
_atom_site_fract_z
_atom_site_occupancy
Li1 Li 0.0000 0.2440 0.0000 1
Li2 Li 0.5036 0.2446 0.5076 1
Cr1 Cr 0.0470 0.5000 0.2873 1
Cr2 Cr 0.4725 0.5000 0.7849 1
Cr3 Cr 0.5442 0.0000 0.2201 1
Cu1 Cu 0.9614 0.0000 0.7185 1
P1 P 0.0867 0.0000 0.4110 1
P2 P 0.4232 0.0000 0.9103 1
P3 P 0.5858 0.5000 0.0978 1
P4 P 0.9197 0.5000 0.6005 1
O1 O 0.2014 0.0000 0.5534 1
O2 O 0.2201 0.1992 0.3421 1
O3 O 0.2445 0.5000 0.6074 1
O4 O 0.2617 0.5000 0.1050 1
O5 O 0.2925 0.2026 0.8436 1
O6 O 0.3021 0.0000 0.0534 1
O7 O 0.6997 0.5000 0.9543 1
O8 O 0.7202 0.3014 0.1659 1
O9 O 0.7470 0.0000 0.9084 1
O10 O 0.7619 0.0000 0.4029 1
O11 O 0.7814 0.3027 0.6702 1
O12 O 0.8103 0.5000 0.4567 1
# - Energy relative to the elements: -2.48 eV/atom
# - Total energy after the MP2020 corrections: -7.534 eV per atom
# - Crystal system: monoclinic
# - M_tot: 10.98 μB per cell
# - Total energy: -194.0 eV per cell